No. 1
Below is crystalline MgReN2 at its relaxed geometry, with properties calculated at the GGA-PBE level.

Cell: 5.856 6.433 5.482 Å, 90.00 90.00 90.00°
Positions (direct):
Mg 0.576 0.877 0.012
Re 0.559 0.381 0.004
Mg 0.424 0.123 0.512
N 0.402 0.622 0.855
Re 0.441 0.619 0.504
Re 0.059 0.119 0.004
Re 0.941 0.881 0.504
N 0.902 0.878 0.855
N 0.378 0.138 0.899
N 0.878 0.362 0.899
N 0.122 0.638 0.399
N 0.098 0.122 0.355
N 0.622 0.862 0.399
Mg 0.924 0.377 0.512
N 0.598 0.378 0.355
Mg 0.076 0.623 0.012

Computed properties:
Space-group type: Pna2_1
Crystal system: orthorhombic


No. 2
Below is crystalline Sr4CePr3Nb2Cu4O20 at its relaxed geometry, with properties calculated at the GGA-PBE level.

Cell: 14.901 14.901 5.617 Å, 90.00 90.00 158.27°
Positions (direct):
O 0.068 0.932 0.000
Pr 0.294 0.706 0.000
O 0.402 0.106 0.246
Cu 0.643 0.357 0.500
Ce 0.708 0.292 0.000
Nb 0.500 0.500 0.500
Sr 0.081 0.919 0.500
Sr 0.418 0.582 0.000
O 0.991 0.495 0.243
O 0.750 0.750 0.750
O 0.894 0.598 0.246
O 0.505 0.009 0.243
O 0.402 0.106 0.754
O 0.932 0.068 0.000
O 0.603 0.897 0.250
O 0.103 0.397 0.750
O 0.991 0.495 0.757
Cu 0.858 0.142 0.000
O 0.568 0.432 0.500
Pr 0.794 0.206 0.500
O 0.603 0.897 0.750
O 0.750 0.750 0.250
Pr 0.205 0.795 0.500
O 0.505 0.009 0.757
Sr 0.582 0.418 0.000
O 0.894 0.598 0.754
O 0.250 0.250 0.250
O 0.432 0.568 0.500
Sr 0.918 0.082 0.500
Cu 0.143 0.857 0.000
O 0.250 0.250 0.750
O 0.103 0.397 0.250
Cu 0.358 0.642 0.500
Nb 0.000 0.000 0.000

Computed properties:
Space-group type: Amm2
Crystal system: orthorhombic


No. 3
Below is crystalline Ba2FeN2 at its relaxed geometry, with properties calculated at the GGA-PBE level.

Cell: 4.137 4.144 7.049 Å, 107.10 107.06 90.00°
Positions (direct):
Ba 0.138 0.138 0.776
N 0.367 0.367 0.235
Fe 0.500 0.500 0.500
Ba 0.862 0.862 0.224
N 0.633 0.633 0.765

Computed properties:
Space-group type: I4/mmm
Crystal system: tetragonal


No. 4
Below is crystalline ZnOs at its relaxed geometry, with properties calculated at the GGA-PBE level.

Cell: 2.758 2.758 4.322 Å, 90.00 90.00 120.00°
Positions (direct):
Os 0.333 0.667 0.500
Zn 0.000 0.000 0.000

Computed properties:
Space-group type: P-6m2
Crystal system: hexagonal


No. 5
Below is crystalline Mg6AlGa at its relaxed geometry, with properties calculated at the GGA-PBE level.

Cell: 4.968 6.325 10.769 Å, 90.00 90.00 90.00°
Positions (direct):
Mg 0.500 0.750 0.583
Mg 0.500 0.250 0.083
Ga 0.500 0.500 0.833
Mg 0.000 0.250 0.415
Mg 0.000 0.000 0.168
Ga 0.500 0.000 0.333
Mg 0.500 0.750 0.083
Mg 0.000 0.000 0.669
Mg 0.000 0.500 0.668
Mg 0.500 0.250 0.583
Mg 0.000 0.750 0.915
Al 0.500 0.000 0.833
Mg 0.000 0.250 0.915
Al 0.500 0.500 0.333
Mg 0.000 0.500 0.169
Mg 0.000 0.750 0.415


No. 6
Below is crystalline LaSe2O6 at its relaxed geometry, with properties calculated at the GGA-PBE level.

Cell: 7.211 8.621 19.339 Å, 90.00 90.00 90.00°
Positions (direct):
O 0.134 0.007 0.883
O 0.905 0.214 0.928
Se 0.059 0.649 0.152
O 0.238 0.314 0.896
O 0.688 0.824 0.239
O 0.991 0.282 0.569
Se 0.569 0.595 0.053
O 0.133 0.071 0.188
Se 0.472 0.865 0.264
O 0.991 0.218 0.069
O 0.527 0.425 0.349
La 0.587 0.159 0.413
O 0.133 0.429 0.688
O 0.632 0.720 0.530
La 0.911 0.949 0.002
O 0.349 0.803 0.775
O 0.238 0.186 0.396
O 0.368 0.220 0.530
O 0.800 0.498 0.626
O 0.527 0.075 0.849
O 0.404 0.574 0.986
O 0.651 0.197 0.275
O 0.095 0.786 0.428
La 0.413 0.659 0.413
O 0.905 0.286 0.428
O 0.009 0.782 0.569
O 0.596 0.426 0.486
La 0.089 0.449 0.002
O 0.596 0.074 0.986
Se 0.528 0.365 0.264
La 0.587 0.341 0.913
O 0.312 0.176 0.739
Se 0.930 0.808 0.361
Se 0.528 0.135 0.764
O 0.404 0.926 0.486
O 0.368 0.280 0.030
Se 0.070 0.308 0.361
Se 0.569 0.905 0.553
O 0.867 0.929 0.688
La 0.911 0.551 0.502
O 0.349 0.697 0.275
Se 0.070 0.192 0.861
Se 0.431 0.405 0.553
O 0.867 0.571 0.188
Se 0.941 0.149 0.152
Se 0.930 0.692 0.861
O 0.762 0.686 0.396
O 0.736 0.029 0.519
O 0.866 0.993 0.383
La 0.413 0.841 0.913
O 0.095 0.714 0.928
O 0.866 0.507 0.883
Se 0.059 0.851 0.652
O 0.264 0.971 0.019
O 0.312 0.324 0.239
O 0.736 0.471 0.019
O 0.264 0.529 0.519
O 0.200 0.998 0.626
O 0.800 0.002 0.126
Se 0.472 0.635 0.764
O 0.009 0.718 0.069
La 0.089 0.051 0.502
O 0.473 0.925 0.349
O 0.651 0.303 0.775
O 0.134 0.493 0.383
O 0.200 0.502 0.126
O 0.688 0.676 0.739
Se 0.941 0.351 0.652
O 0.473 0.575 0.849
Se 0.431 0.095 0.053
O 0.632 0.780 0.030
O 0.762 0.814 0.896

Computed properties:
Space-group type: Pca2_1
Crystal system: orthorhombic


No. 7
Below is crystalline Nd4Ge3Rh4 at its relaxed geometry, with properties calculated at the GGA-PBE level.

Cell: 11.029 11.029 8.043 Å, 71.00 71.00 30.03°
Positions (direct):
Ge 0.354 0.646 0.250
Ge 0.052 0.291 0.942
Nd 0.921 0.213 0.331
Ge 0.291 0.052 0.442
Nd 0.555 0.786 0.101
Rh 0.072 0.371 0.186
Nd 0.214 0.445 0.399
Nd 0.787 0.079 0.169
Rh 0.697 0.428 0.983
Ge 0.646 0.354 0.750
Ge 0.948 0.709 0.058
Rh 0.928 0.629 0.814
Nd 0.786 0.555 0.601
Rh 0.572 0.303 0.517
Rh 0.303 0.572 0.017
Rh 0.629 0.928 0.314
Rh 0.428 0.697 0.483
Rh 0.371 0.072 0.686
Ge 0.709 0.948 0.558
Nd 0.445 0.214 0.899
Nd 0.213 0.921 0.831
Nd 0.079 0.787 0.669

Computed properties:
Space-group type: C2/c
Crystal system: monoclinic


No. 8
Below is crystalline HfCo7 at its relaxed geometry, with properties calculated at the GGA-PBE level.

Cell: 3.561 5.193 5.193 Å, 90.46 90.00 90.00°
Positions (direct):
Co 0.500 0.500 0.000
Co 0.500 0.000 0.500
Co 0.000 0.233 0.233
Hf 0.500 0.500 0.500
Co 0.000 0.769 0.231
Co 0.000 0.767 0.767
Co 0.500 0.000 0.000
Co 0.000 0.231 0.769

Computed properties:
Space-group type: Cmmm
Crystal system: orthorhombic


No. 9
Below is crystalline AgPt4 at its relaxed geometry, with properties calculated at the GGA-PBE level.

Cell: 11.862 11.862 11.862 Å, 13.60 13.60 13.60°
Positions (direct):
Pt 0.599 0.599 0.599
Ag 0.000 0.000 0.000
Pt 0.800 0.800 0.800
Pt 0.401 0.401 0.401
Pt 0.200 0.200 0.200

Computed properties:
Space-group type: R-3m
Crystal system: trigonal


No. 10
Below is crystalline LiTiP4O12 at its relaxed geometry, with properties calculated at the GGA-PBE level.

Cell: 8.620 7.506 15.696 Å, 67.14 90.00 90.00°
Positions (direct):
O 0.215 0.047 0.094
Li 0.917 0.365 0.073
Li 0.083 0.635 0.927
P 0.223 0.868 0.569
O 0.624 0.263 0.402
Li 0.417 0.635 0.427
O 0.873 0.606 0.966
O 0.165 0.071 0.793
O 0.136 0.381 0.837
O 0.107 0.410 0.227
P 0.268 0.270 0.045
O 0.335 0.071 0.293
O 0.876 0.263 0.902
O 0.373 0.394 0.534
O 0.713 0.067 0.035
O 0.861 0.702 0.540
O 0.627 0.606 0.466
O 0.285 0.047 0.594
Ti 0.158 0.188 0.352
P 0.952 0.855 0.284
O 0.636 0.619 0.663
O 0.127 0.394 0.034
O 0.785 0.953 0.906
O 0.665 0.929 0.707
O 0.545 0.000 0.197
O 0.287 0.933 0.965
P 0.468 0.605 0.691
P 0.548 0.855 0.784
P 0.232 0.270 0.545
O 0.125 0.298 0.623
P 0.277 0.868 0.069
O 0.139 0.298 0.460
O 0.955 0.000 0.697
Li 0.583 0.365 0.573
P 0.768 0.730 0.455
O 0.864 0.619 0.163
O 0.432 0.707 0.762
O 0.893 0.590 0.773
O 0.375 0.298 0.123
O 0.932 0.293 0.738
O 0.364 0.381 0.337
Ti 0.658 0.812 0.148
O 0.376 0.737 0.598
P 0.452 0.145 0.216
P 0.532 0.395 0.309
P 0.048 0.145 0.716
O 0.124 0.737 0.098
O 0.568 0.293 0.238
O 0.393 0.410 0.727
P 0.777 0.132 0.431
O 0.715 0.953 0.406
Ti 0.842 0.812 0.648
O 0.875 0.702 0.377
O 0.835 0.929 0.207
P 0.732 0.730 0.955
P 0.723 0.132 0.931
O 0.361 0.298 0.960
O 0.045 0.000 0.303
O 0.068 0.707 0.262
O 0.213 0.933 0.465
O 0.455 0.000 0.803
P 0.032 0.605 0.191
P 0.968 0.395 0.809
Ti 0.342 0.188 0.852
O 0.589 0.229 0.871
O 0.911 0.229 0.371
O 0.607 0.590 0.273
O 0.089 0.771 0.629
O 0.625 0.702 0.877
O 0.787 0.067 0.535
O 0.639 0.702 0.040
O 0.411 0.771 0.129

Computed properties:
Space-group type: P2_1/c
Offset from the most stable computed form: 75 meV per atom
Crystal system: monoclinic


Number 1: mass density 7672 kg/m3, formation energy -0.3290 eV per atom. Number 2: mass density 6018 kg/m3, formation energy -2.8302 eV per atom. Number 3: mass density 5416 kg/m3, formation energy -0.5088 eV per atom. Number 4: mass density 14910 kg/m3, formation energy 0.2271 eV per atom. Number 5: mass density 2381 kg/m3, formation energy -0.0120 eV per atom. Number 6: mass density 4341 kg/m3, formation energy -1.9473 eV per atom. Number 7: mass density 8693 kg/m3, formation energy -0.8769 eV per atom. Number 8: mass density 10218 kg/m3, formation energy 0.0596 eV per atom. Number 9: mass density 18355 kg/m3, formation energy -0.0370 eV per atom. Number 10: mass density 2631 kg/m3, formation energy -2.6805 eV per atom.